Ba2Ca3Tl2W4O12, relaxed, DFT GGA+U; DFT formation energy = -1.9499 eV/atom; DFT total energy = -144.639 eV for the cell shown; space group = No. 139
1.0
-2.646 -0.393 -3.086
-0.333 -3.992 0.794
-16.177 6.567 15.737
Ba Ca Tl W O
2 3 2 4 12
direct
0.169 0.169 0.339
0.831 0.831 0.661
0.077 0.077 0.155
0.923 0.923 0.845
0.000 0.000 0.000
0.727 0.727 0.454
0.273 0.273 0.546
0.538 0.538 0.076
0.389 0.389 0.778
0.611 0.611 0.222
0.462 0.462 0.924
0.394 0.894 0.788
0.535 0.035 0.070
0.221 0.221 0.443
0.965 0.465 0.930
0.779 0.779 0.557
0.106 0.606 0.212
0.606 0.106 0.212
0.345 0.345 0.690
0.894 0.394 0.788
0.035 0.535 0.070
0.465 0.965 0.930
0.655 0.655 0.310